Entry 1:
The following is a DFT calculation (PBE) of an optimized crystal structure of SmPaO4.

Structure (POSCAR):
```
SmPaO4
1.0
-2.734 2.734 5.426
2.734 -2.734 5.426
2.734 2.734 -5.426
Sm Pa O
2 2 8
Direct
0.375 0.625 0.750
0.625 0.375 0.250
0.125 0.875 0.250
0.875 0.125 0.750
0.000 0.234 0.234
0.000 0.766 0.766
0.234 0.000 0.734
0.234 0.500 0.234
0.500 0.234 0.734
0.500 0.766 0.266
0.766 0.000 0.266
0.766 0.500 0.766
```

Entry 2:
The following is a DFT calculation (PBE) of an optimized crystal structure of PaTaO3.

Structure (POSCAR):
```
PaTaO3
1.0
4.038 0.000 0.000
0.000 4.038 0.000
0.000 0.000 4.038
Pa Ta O
1 1 3
Direct
0.000 0.000 0.000
0.500 0.500 0.500
0.000 0.500 0.500
0.500 0.000 0.500
0.500 0.500 0.000
```

Entry 3:
The following is a DFT calculation (PBE) of an optimized crystal structure of TmPaO4.

Structure (POSCAR):
```
TmPaO4
1.0
3.789 0.000 0.000
0.000 3.789 0.000
0.000 0.000 5.336
Tm Pa O
1 1 4
Direct
0.000 0.000 0.000
0.500 0.500 0.500
0.000 0.500 0.256
0.000 0.500 0.744
0.500 0.000 0.256
0.500 0.000 0.744
```

Entry 4:
The following is a DFT calculation (PBE) of an optimized crystal structure of YPaO4.

Structure (POSCAR):
```
YPaO4
1.0
3.815 0.000 0.000
0.000 3.815 0.000
0.000 0.000 5.405
Y Pa O
1 1 4
Direct
0.000 0.000 0.000
0.500 0.500 0.500
0.000 0.500 0.261
0.000 0.500 0.739
0.500 0.000 0.261
0.500 0.000 0.739
```

Entry 5:
The following is a DFT calculation (PBE) of an optimized crystal structure of YPaO4.

Structure (POSCAR):
```
YPaO4
1.0
-2.702 2.702 5.393
2.702 -2.702 5.393
2.702 2.702 -5.393
Y Pa O
2 2 8
Direct
0.375 0.625 0.750
0.625 0.375 0.250
0.125 0.875 0.250
0.875 0.125 0.750
0.000 0.239 0.239
0.000 0.761 0.761
0.239 0.000 0.739
0.239 0.500 0.239
0.500 0.239 0.739
0.500 0.761 0.261
0.761 0.000 0.261
0.761 0.500 0.761
```

Entry 6:
The following is a DFT calculation (PBE) of an optimized crystal structure of PbO2.

Structure (POSCAR):
```
PbO2
1.0
8.005 0.000 0.000
0.000 5.735 0.000
-3.593 0.000 7.860
Pb O
6 12
Direct
0.009 0.250 0.148
0.388 0.250 0.012
0.415 0.750 0.277
0.585 0.250 0.723
0.612 0.750 0.988
0.991 0.750 0.852
0.066 0.750 0.388
0.121 0.750 0.545
0.196 0.005 0.062
0.196 0.495 0.062
0.417 0.012 0.820
0.417 0.488 0.820
0.583 0.512 0.180
0.583 0.988 0.180
0.804 0.505 0.938
0.804 0.995 0.938
0.879 0.250 0.455
0.934 0.250 0.612
```

Entry 7:
The following is a DFT calculation (PBE) of an optimized crystal structure of PbO2.

Structure (POSCAR):
```
PbO2
1.0
5.404 0.000 0.000
0.000 5.404 0.000
0.000 0.000 5.404
Pb O
4 8
Direct
0.000 0.000 0.000
0.000 0.500 0.500
0.500 0.000 0.500
0.500 0.500 0.000
0.250 0.250 0.250
0.250 0.250 0.750
0.250 0.750 0.250
0.250 0.750 0.750
0.750 0.250 0.250
0.750 0.250 0.750
0.750 0.750 0.250
0.750 0.750 0.750
```

Entry 8:
The following is a DFT calculation (PBE) of an optimized crystal structure of Pb3O4.

Structure (POSCAR):
```
Pb3O4
1.0
6.909 0.000 0.000
0.000 10.125 0.000
0.000 0.000 3.497
Pb O
6 8
Direct
0.000 0.000 0.000
0.018 0.307 0.500
0.482 0.807 0.500
0.500 0.500 0.000
0.518 0.193 0.500
0.982 0.693 0.500
0.149 0.809 0.000
0.166 0.088 0.500
0.334 0.588 0.500
0.351 0.309 0.000
0.649 0.691 0.000
0.666 0.412 0.500
0.834 0.912 0.500
0.851 0.191 0.000
```

Entry 9:
The following is a DFT calculation (PBE) of an optimized crystal structure of PbO2.

Structure (POSCAR):
```
PbO2
1.0
5.101 0.000 0.000
0.000 6.073 0.000
0.000 0.000 5.578
Pb O
4 8
Direct
0.000 0.176 0.250
0.000 0.824 0.750
0.500 0.324 0.750
0.500 0.676 0.250
0.233 0.096 0.572
0.233 0.904 0.072
0.267 0.404 0.072
0.267 0.596 0.572
0.733 0.404 0.428
0.733 0.596 0.928
0.767 0.096 0.928
0.767 0.904 0.428
```

Entry 10:
The following is a DFT calculation (PBE) of an optimized crystal structure of PbO2.

Structure (POSCAR):
```
PbO2
1.0
5.868 0.000 0.000
-0.073 7.351 0.000
-0.053 -1.850 7.237
Pb O
6 12
Direct
0.239 0.219 0.124
0.252 0.899 0.579
0.253 0.433 0.642
0.747 0.567 0.358
0.748 0.101 0.421
0.761 0.781 0.876
0.003 0.680 0.622
0.079 0.930 0.176
0.239 0.705 0.982
0.254 0.699 0.262
0.467 0.893 0.161
0.495 0.315 0.375
0.505 0.685 0.625
0.533 0.107 0.839
0.746 0.301 0.738
0.761 0.295 0.018
0.921 0.070 0.824
0.997 0.320 0.378
```

Entry 11:
The following is a DFT calculation (PBE) of an optimized crystal structure of PbO2.

Structure (POSCAR):
```
PbO2
1.0
5.082 0.000 0.000
0.000 5.082 0.000
0.000 0.000 3.449
Pb O
2 4
Direct
0.000 0.000 0.000
0.500 0.500 0.500
0.192 0.192 0.500
0.308 0.692 0.000
0.692 0.308 0.000
0.808 0.808 0.500
```

Entry 12:
The following is a DFT calculation (PBE) of an optimized crystal structure of PbO2.

Structure (POSCAR):
```
PbO2
1.0
5.544 0.000 0.000
0.000 3.800 0.000
0.000 0.000 7.587
Pb O
4 8
Direct
0.233 0.250 0.088
0.267 0.750 0.588
0.733 0.250 0.412
0.767 0.750 0.912
0.023 0.750 0.134
0.116 0.250 0.387
0.384 0.750 0.887
0.477 0.250 0.634
0.523 0.750 0.366
0.616 0.250 0.113
0.884 0.750 0.613
0.977 0.250 0.866
```

| no. | formation enthalpy at 0 K (eV per atom) | raw total energy (eV per cell) |
| --- | --- | --- |
| 1 | -4.1440 | -112.282 |
| 2 | -2.6216 | -47.263 |
| 3 | -4.2080 | -56.282 |
| 4 | -4.1676 | -58.030 |
| 5 | -4.1692 | -116.080 |
| 6 | -0.8580 | -95.163 |
| 7 | -1.1930 | -63.254 |
| 8 | -1.4089 | -76.088 |
| 9 | -1.2939 | -64.465 |
| 10 | -0.5695 | -83.658 |
| 11 | -1.2996 | -32.267 |
| 12 | -1.1691 | -62.968 |